Entry 1:
A plane-wave DFT calculation with PBE was carried out for a relaxed Zn9Ga3Mo2 crystal.

Crystal system   trigonal
Formation enthalpy at 0 K   -0.118 eV per atom

Cell lengths 5.495, 5.495, 8.824 Å; angles 90.00, 90.00, 120.00 degrees
Positions (direct):
Zn (0.000, 0.500, 0.000)
Zn (0.500, 0.500, 0.000)
Zn (0.500, 0.000, 0.000)
Zn (0.320, 0.160, 0.245)
Zn (0.840, 0.160, 0.245)
Zn (0.840, 0.680, 0.245)
Zn (0.680, 0.840, 0.755)
Zn (0.160, 0.840, 0.755)
Zn (0.160, 0.320, 0.755)
Ga (0.000, 0.500, 0.500)
Ga (0.500, 0.500, 0.500)
Ga (0.500, 0.000, 0.500)
Mo (0.667, 0.333, 0.740)
Mo (0.333, 0.667, 0.260)

Entry 2:
A plane-wave DFT calculation with PBE was carried out for a relaxed GaN crystal.

Crystal system   triclinic
Formation enthalpy at 0 K   -0.008 eV per atom

Cell lengths 12.102, 11.441, 12.092 Å; angles 88.42, 92.77, 79.91 degrees
Positions (direct):
Ga (0.829, 0.720, 0.589)
Ga (0.232, 0.311, 0.378)
Ga (0.873, 0.280, 0.838)
Ga (0.633, 0.707, 0.408)
Ga (0.404, 0.183, 0.302)
Ga (0.576, 0.694, 0.668)
Ga (0.659, 0.889, 0.843)
Ga (0.225, 0.574, 0.377)
Ga (0.496, 0.336, 0.179)
Ga (0.952, 0.698, 0.039)
Ga (0.973, 0.816, 0.801)
Ga (0.090, 0.873, 0.060)
Ga (0.683, 0.539, 0.824)
Ga (0.684, 0.287, 0.960)
Ga (0.044, 0.221, 0.528)
Ga (0.523, 0.724, 0.917)
Ga (0.730, 0.132, 0.297)
Ga (0.592, 0.522, 0.099)
Ga (0.780, 0.606, 0.280)
Ga (0.033, 0.108, 0.798)
Ga (0.982, 0.080, 0.323)
Ga (0.358, 0.608, 0.046)
Ga (0.020, 0.367, 0.322)
Ga (0.449, 0.590, 0.323)
Ga (0.312, 0.630, 0.596)
Ga (0.564, 0.016, 0.384)
Ga (0.204, 0.036, 0.162)
Ga (0.073, 0.585, 0.221)
Ga (0.099, 0.761, 0.601)
Ga (0.793, 0.029, 0.839)
Ga (0.016, 0.408, 0.991)
Ga (0.385, 0.810, 0.438)
Ga (0.150, 0.572, 0.734)
Ga (0.158, 0.441, 0.567)
Ga (0.464, 0.890, 0.216)
Ga (0.089, 0.133, 0.001)
Ga (0.905, 0.861, 0.448)
Ga (0.660, 0.809, 0.137)
Ga (0.400, 0.898, 0.675)
Ga (0.122, 0.817, 0.313)
Ga (0.910, 0.090, 0.069)
Ga (0.861, 0.865, 0.229)
Ga (0.251, 0.091, 0.588)
Ga (0.925, 0.567, 0.810)
Ga (0.302, 0.788, 0.157)
Ga (0.161, 0.605, 0.946)
Ga (0.993, 0.971, 0.609)
Ga (0.268, 0.008, 0.391)
Ga (0.980, 0.599, 0.459)
Ga (0.768, 0.650, 0.988)
N (0.513, 0.289, 0.512)
N (0.961, 0.372, 0.605)
N (0.718, 0.417, 0.446)
N (0.085, 0.095, 0.641)
N (0.071, 0.737, 0.441)
N (0.053, 0.767, 0.940)
N (0.064, 0.545, 0.062)
N (0.865, 0.725, 0.747)
N (0.698, 0.956, 0.613)
N (0.427, 0.435, 0.849)
N (0.940, 0.537, 0.305)
N (0.651, 0.798, 0.975)
N (0.277, 0.259, 0.792)
N (0.597, 0.360, 0.067)
N (0.413, 0.982, 0.962)
N (0.186, 0.297, 0.803)
N (0.601, 0.076, 0.123)
N (0.762, 0.183, 0.657)
N (0.195, 0.269, 0.534)
N (0.701, 0.618, 0.135)
N (0.329, 0.278, 0.058)
N (0.263, 0.355, 0.028)
N (0.497, 0.161, 0.719)
N (0.019, 0.780, 0.184)
N (0.256, 0.842, 0.785)
N (0.290, 0.733, 0.318)
N (0.680, 0.699, 0.560)
N (0.523, 0.855, 0.376)
N (0.236, 0.867, 0.872)
N (0.864, 0.319, 0.147)
N (0.795, 0.172, 0.572)
N (0.934, 0.986, 0.767)
N (0.620, 0.996, 0.560)
N (0.965, 0.231, 0.389)
N (0.346, 0.039, 0.246)
N (0.128, 0.989, 0.302)
N (0.448, 0.466, 0.765)
N (0.797, 0.343, 0.208)
N (0.911, 0.396, 0.684)
N (0.800, 0.150, 0.945)
N (0.864, 0.046, 0.216)
N (0.445, 0.361, 0.536)
N (0.694, 0.427, 0.534)
N (0.350, 0.063, 0.936)
N (0.451, 0.519, 0.175)
N (0.416, 0.742, 0.592)
N (0.532, 0.830, 0.772)
N (0.593, 0.091, 0.030)
N (0.549, 0.179, 0.794)
N (0.730, 0.375, 0.844)

Entry 3:
A plane-wave DFT calculation with PBE was carried out for a relaxed GaN crystal.

Crystal system   hexagonal
Formation enthalpy at 0 K   -0.303 eV per atom

Cell lengths 3.204, 3.204, 8.475 Å; angles 90.00, 90.00, 120.00 degrees
Positions (direct):
Ga (0.333, 0.667, 0.750)
Ga (0.667, 0.333, 0.250)
N (0.000, 0.000, 0.250)
N (0.000, 0.000, 0.750)

Entry 4:
A plane-wave DFT calculation with PBE was carried out for a relaxed GaN crystal.

Crystal system   cubic
Formation enthalpy at 0 K   -0.178 eV per atom

Cell lengths 3.020, 3.020, 3.020 Å; angles 60.00, 60.00, 60.00 degrees
Positions (direct):
Ga (0.000, 0.000, 0.000)
N (0.500, 0.500, 0.500)

Entry 5:
A plane-wave DFT calculation with PBE was carried out for a relaxed GaN crystal.

Crystal system   triclinic
Formation enthalpy at 0 K   0.035 eV per atom

Cell lengths 11.228, 11.460, 12.157 Å; angles 88.62, 90.03, 89.49 degrees
Positions (direct):
Ga (0.909, 0.948, 0.434)
Ga (0.083, 0.796, 0.299)
Ga (0.794, 0.858, 0.999)
Ga (0.062, 0.925, 0.809)
Ga (0.222, 0.178, 0.129)
Ga (0.159, 0.586, 0.830)
Ga (0.569, 0.779, 0.819)
Ga (0.939, 0.146, 0.252)
Ga (0.369, 0.115, 0.698)
Ga (0.505, 0.031, 0.075)
Ga (0.370, 0.834, 0.587)
Ga (0.343, 0.014, 0.893)
Ga (0.437, 0.346, 0.179)
Ga (0.716, 0.376, 0.231)
Ga (0.113, 0.120, 0.482)
Ga (0.607, 0.049, 0.880)
Ga (0.196, 0.992, 0.647)
Ga (0.489, 0.549, 0.863)
Ga (0.140, 0.790, 0.568)
Ga (0.086, 0.349, 0.491)
Ga (0.665, 0.912, 0.418)
Ga (0.518, 0.647, 0.588)
Ga (0.888, 0.567, 0.308)
Ga (0.798, 0.303, 0.831)
Ga (0.312, 0.376, 0.580)
Ga (0.345, 0.794, 0.814)
Ga (0.946, 0.620, 0.091)
Ga (0.140, 0.317, 0.288)
Ga (0.473, 0.833, 0.294)
Ga (0.705, 0.107, 0.152)
Ga (0.843, 0.395, 0.658)
Ga (0.817, 0.166, 0.568)
Ga (0.536, 0.976, 0.639)
Ga (0.931, 0.674, 0.541)
Ga (0.276, 0.920, 0.120)
Ga (0.086, 0.548, 0.633)
Ga (0.749, 0.594, 0.693)
Ga (0.789, 0.899, 0.675)
Ga (0.959, 0.727, 0.813)
Ga (0.803, 0.784, 0.214)
Ga (0.767, 0.385, 0.447)
Ga (0.883, 0.361, 0.078)
Ga (0.975, 0.931, 0.101)
Ga (0.574, 0.268, 0.692)
Ga (0.578, 0.766, 0.083)
Ga (0.312, 0.593, 0.646)
Ga (0.285, 0.778, 0.391)
Ga (0.679, 0.668, 0.447)
Ga (0.597, 0.365, 0.961)
Ga (0.740, 0.582, 0.952)
N (0.592, 0.151, 0.376)
N (0.327, 0.347, 0.948)
N (0.361, 0.024, 0.387)
N (0.775, 0.993, 0.536)
N (0.004, 0.808, 0.456)
N (0.847, 0.737, 0.678)
N (0.697, 0.298, 0.587)
N (0.589, 0.630, 0.737)
N (0.836, 0.012, 0.216)
N (0.335, 0.627, 0.164)
N (0.582, 0.358, 0.123)
N (0.589, 0.669, 0.956)
N (0.110, 0.544, 0.394)
N (0.824, 0.567, 0.453)
N (0.127, 0.301, 0.736)
N (0.902, 0.021, 0.757)
N (0.068, 0.221, 0.176)
N (0.676, 0.678, 0.290)
N (0.408, 0.274, 0.669)
N (0.871, 0.687, 0.954)
N (0.121, 0.687, 0.058)
N (0.173, 0.686, 0.976)
N (0.293, 0.278, 0.893)
N (0.123, 0.913, 0.180)
N (0.474, 0.452, 0.335)
N (0.330, 0.613, 0.812)
N (0.915, 0.317, 0.529)
N (0.445, 0.876, 0.131)
N (0.436, 0.516, 0.395)
N (0.092, 0.459, 0.936)
N (0.578, 0.711, 0.238)
N (0.977, 0.094, 0.400)
N (0.808, 0.924, 0.300)
N (0.201, 0.587, 0.382)
N (0.322, 0.072, 0.056)
N (0.959, 0.698, 0.235)
N (0.359, 0.551, 0.111)
N (0.028, 0.467, 0.013)
N (0.973, 0.199, 0.931)
N (0.848, 0.492, 0.176)
N (0.810, 0.241, 0.173)
N (0.517, 0.211, 0.397)
N (0.280, 0.075, 0.357)
N (0.091, 0.211, 0.723)
N (0.879, 0.121, 0.730)
N (0.637, 0.226, 0.845)
N (0.645, 0.924, 0.763)
N (0.033, 0.120, 0.944)
N (0.291, 0.301, 0.210)
N (0.769, 0.414, 0.955)

Entry 6:
A plane-wave DFT calculation with PBE was carried out for a relaxed GaN crystal.

Crystal system   triclinic
Formation enthalpy at 0 K   0.055 eV per atom

Cell lengths 12.020, 10.946, 11.380 Å; angles 90.57, 89.41, 88.13 degrees
Positions (direct):
Ga (0.739, 0.755, 0.546)
Ga (0.347, 0.335, 0.275)
Ga (0.926, 0.333, 0.776)
Ga (0.671, 0.627, 0.327)
Ga (0.517, 0.288, 0.097)
Ga (0.571, 0.752, 0.725)
Ga (0.622, 0.993, 0.924)
Ga (0.075, 0.585, 0.560)
Ga (0.753, 0.232, 0.182)
Ga (0.989, 0.537, 0.981)
Ga (0.828, 0.760, 0.936)
Ga (0.084, 0.842, 0.040)
Ga (0.622, 0.524, 0.581)
Ga (0.723, 0.278, 0.910)
Ga (0.081, 0.412, 0.413)
Ga (0.408, 0.654, 0.877)
Ga (0.744, 0.084, 0.347)
Ga (0.724, 0.508, 0.051)
Ga (0.917, 0.595, 0.199)
Ga (0.900, 0.058, 0.874)
Ga (0.976, 0.025, 0.323)
Ga (0.448, 0.558, 0.095)
Ga (0.896, 0.362, 0.264)
Ga (0.367, 0.744, 0.224)
Ga (0.424, 0.573, 0.647)
Ga (0.459, 0.157, 0.363)
Ga (0.218, 0.069, 0.254)
Ga (0.269, 0.546, 0.394)
Ga (0.950, 0.786, 0.602)
Ga (0.700, 0.131, 0.675)
Ga (0.129, 0.377, 0.191)
Ga (0.485, 0.726, 0.439)
Ga (0.273, 0.864, 0.799)
Ga (0.189, 0.639, 0.845)
Ga (0.515, 0.935, 0.261)
Ga (0.134, 0.092, 0.932)
Ga (0.563, 0.001, 0.552)
Ga (0.623, 0.777, 0.134)
Ga (0.247, 0.788, 0.581)
Ga (0.103, 0.781, 0.335)
Ga (0.827, 0.933, 0.108)
Ga (0.826, 0.795, 0.343)
Ga (0.170, 0.147, 0.472)
Ga (0.143, 0.331, 0.695)
Ga (0.355, 0.893, 0.041)
Ga (0.207, 0.577, 0.131)
Ga (0.926, 0.230, 0.552)
Ga (0.330, 0.936, 0.454)
Ga (0.873, 0.540, 0.463)
Ga (0.816, 0.584, 0.790)
N (0.616, 0.349, 0.341)
N (0.083, 0.555, 0.741)
N (0.721, 0.367, 0.581)
N (0.082, 0.284, 0.531)
N (0.098, 0.762, 0.517)
N (0.112, 0.658, 0.004)
N (0.991, 0.439, 0.126)
N (0.702, 0.643, 0.681)
N (0.403, 0.096, 0.528)
N (0.533, 0.408, 0.868)
N (0.808, 0.519, 0.304)
N (0.601, 0.607, 0.106)
N (0.351, 0.093, 0.794)
N (0.707, 0.870, 0.020)
N (0.422, 0.851, 0.883)
N (0.443, 0.111, 0.790)
N (0.526, 0.090, 0.039)
N (0.808, 0.974, 0.652)
N (0.224, 0.239, 0.215)
N (0.849, 0.616, 0.045)
N (0.263, 0.372, 0.936)
N (0.301, 0.283, 0.966)
N (0.374, 0.350, 0.571)
N (0.964, 0.720, 0.295)
N (0.087, 0.989, 0.709)
N (0.227, 0.678, 0.278)
N (0.576, 0.820, 0.563)
N (0.591, 0.041, 0.381)
N (0.078, 0.045, 0.626)
N (0.006, 0.162, 0.103)
N (0.873, 0.943, 0.725)
N (0.934, 0.895, 0.987)
N (0.307, 0.121, 0.569)
N (0.884, 0.119, 0.432)
N (0.363, 0.011, 0.307)
N (0.102, 0.943, 0.240)
N (0.489, 0.378, 0.786)
N (0.916, 0.162, 0.067)
N (0.988, 0.513, 0.799)
N (0.722, 0.114, 0.854)
N (0.836, 0.954, 0.269)
N (0.567, 0.437, 0.325)
N (0.813, 0.379, 0.538)
N (0.208, 0.923, 0.960)
N (0.681, 0.335, 0.065)
N (0.345, 0.647, 0.519)
N (0.527, 0.878, 0.839)
N (0.473, 0.015, 0.101)
N (0.459, 0.316, 0.542)
N (0.792, 0.411, 0.844)